Entry from the Materials Project: a geometry-optimized MgMn12O17F7 structure (GGA+U).

a b c (Å): 4.788 5.717 15.032
angles (deg): 90.96 86.72 90.27
Positions (direct):
F  0.743  0.836  0.691
F  0.788  0.090  0.838
O  0.221  0.124  0.299
Mn  0.023  0.830  0.247
O  0.223  0.118  0.974
O  0.246  0.425  0.480
Mn  0.506  0.638  0.095
Mn  0.022  0.172  0.085
O  0.688  0.355  0.682
F  0.291  0.616  0.985
Mn  0.008  0.177  0.410
F  0.756  0.873  0.357
O  0.682  0.629  0.525
O  0.213  0.141  0.648
F  0.752  0.872  0.025
O  0.283  0.401  0.149
Mg  0.492  0.076  0.741
O  0.228  0.881  0.138
Mn  0.025  0.832  0.912
O  0.325  0.351  0.815
O  0.736  0.388  0.031
O  0.703  0.392  0.360
O  0.793  0.554  0.841
O  0.221  0.907  0.463
O  0.269  0.605  0.314
O  0.720  0.616  0.196
Mn  0.511  0.600  0.757
O  0.307  0.832  0.811
Mn  0.014  0.348  0.743
F  0.757  0.130  0.194
Mn  0.462  0.380  0.578
Mn  0.018  0.838  0.577
O  0.255  0.597  0.657
Mn  0.487  0.366  0.257
Mn  0.528  0.323  0.929
F  0.740  0.143  0.522
Mn  0.478  0.651  0.419

Energy above the lowest structure with this stoichiometry in eV/atom: 0.002
Electronic total energy in hartree per atom: -0.251